1.
Rb12LiCl4O4 | PBE-GGA | optimized geometry

extended XYZ file:
```
21
Lattice="7.9868 0.0590 -0.0065 0.0603 7.8229 0.4350 -0.0095 0.6118 11.3672" Properties=species:S:1:pos:R:3 pbc="T T T"
Rb 0.3320 3.9918 3.0763
Rb 1.5092 2.4760 6.5995
Rb 1.7337 1.7005 0.1475
Rb 2.1909 6.1223 10.7241
Rb 2.1251 6.3483 6.3872
Rb 3.6256 6.7256 2.6398
Rb 4.4712 0.7995 8.4487
Rb 5.5988 2.2981 0.4405
Rb 5.5650 3.1166 5.6170
Rb 6.5485 6.3342 0.3491
Rb 6.4787 7.0459 5.6497
Rb 7.2069 4.7023 8.7386
Li 3.2024 1.3407 4.2360
Cl 0.9898 0.6960 3.5614
Cl 3.6346 3.3486 2.9191
Cl 3.8407 4.1502 8.5487
Cl 7.9589 8.0735 8.8194
O 7.8955 4.5319 11.4950
O 7.8703 4.5797 6.0041
O 3.9886 8.1810 11.5773
O 4.0045 0.6640 5.6691
```

Summary:
- E above lowest polymorph: 1.0 kJ/mol of atoms

---

2.
Rb12LiCl4O4 | PBE-GGA | optimized geometry

extended XYZ file:
```
21
Lattice="7.7218 -0.4486 0.0000 -0.4554 8.5297 0.0000 0.0000 0.0000 10.5816" Properties=species:S:1:pos:R:3 pbc="T T T"
Rb 0.6510 4.0125 2.6454
Rb 1.6409 1.3706 5.6691
Rb 1.6409 1.3706 10.2034
Rb 1.9048 5.8058 9.9436
Rb 1.9048 5.8058 5.9288
Rb 2.5975 8.1232 2.6454
Rb 4.7620 0.1913 7.9362
Rb 5.4916 2.1666 0.3621
Rb 5.4916 2.1666 4.9287
Rb 5.6145 6.7313 0.6136
Rb 5.6145 6.7313 4.6772
Rb 6.1228 4.5840 7.9362
Li 0.5663 3.3746 7.9362
Cl 7.5150 0.4854 2.6454
Cl 3.9707 4.3569 2.6454
Cl 3.2683 3.2293 7.9362
Cl -0.2236 7.9169 7.9362
O 0.0131 3.7067 9.7032
O 0.0131 3.7067 6.1692
O 3.5388 8.2186 10.5785
O 3.5388 8.2186 5.2940
```

Summary:
- E above lowest polymorph: 0.0 kJ/mol of atoms

---

3.
LiU2Cl3O8 | PBE-GGA | optimized geometry

extended XYZ file:
```
28
Lattice="7.8206 -0.0557 -0.6979 -1.0110 8.0210 -3.1991 0.2160 0.0936 8.7102" Properties=species:S:1:pos:R:3 pbc="T T T"
Li 4.9640 1.5767 5.7024
Li 2.0616 6.4824 -0.8891
U 1.3090 1.5593 1.0408
U 5.7166 6.4997 3.7724
U 4.4747 4.1384 0.8531
U 2.5509 3.9206 3.9602
Cl 3.1954 2.3498 -1.0685
Cl 3.8302 5.7093 5.8817
Cl 5.9936 7.7474 -2.4956
Cl 1.0320 0.3117 7.3088
Cl 0.5697 2.0142 3.6847
Cl 6.4559 6.0448 1.1286
O 2.4260 0.2103 1.5567
O 4.5997 7.8487 3.2565
O 0.2306 2.8535 0.4408
O 6.7950 5.2055 4.3725
O 5.5633 2.8128 1.3813
O 1.4623 5.2462 3.4320
O 3.3391 5.4318 0.2284
O 3.6865 2.6272 4.5848
O 2.7102 3.0952 1.8600
O 4.3154 4.9638 2.9532
O 5.1675 3.6621 -1.3669
O 1.8581 4.3970 6.1802
O 6.6728 2.6064 5.6230
O 0.3528 5.4527 -0.8097
O 4.5174 0.1819 3.6790
O 2.5083 7.8772 1.1343
```

---

4.
Li6PS5Cl | PBE-GGA | optimized geometry

extended XYZ file:
```
13
Lattice="-6.9661 0.2366 2.0618 -4.8490 3.6601 -3.9905 -5.0397 -3.6036 -3.8013" Properties=species:S:1:pos:R:3 pbc="T T T"
Li -11.0173 1.8142 -4.8082
Li -14.2649 -1.3745 -3.7868
Li -11.1039 -1.4819 -4.7224
Li -14.1784 1.9216 -3.8726
Li -11.9780 0.2607 -2.0618
Li -13.3042 0.1790 -6.5332
P -8.4274 0.1466 -2.8650
S -8.7210 1.8040 -4.0470
S -9.6993 0.2220 -1.2503
S -6.4803 0.1127 -2.2031
S -8.8091 -1.5525 -3.9596
S -12.6411 0.2198 -4.2975
Cl 0.0000 0.0000 0.0000
```

Summary:
- Maximum piezoelectric response: 0.12 C/m2

---

5.
Li5PS4Cl2 | PBE-GGA | optimized geometry

extended XYZ file:
```
12
Lattice="-5.7818 1.6071 -0.7698 1.6548 -3.2076 4.8556 1.2171 6.1150 3.6248" Properties=species:S:1:pos:R:3 pbc="T T T"
Li -4.5051 2.0044 1.6506
Li 0.6889 2.1586 6.9573
Li -3.8850 5.1200 3.4974
Li 0.0688 -0.9569 5.1105
Li -1.9708 2.0572 4.3660
P -2.3160 -0.8982 2.2929
S -1.9572 -1.9891 4.0127
S -4.3335 -0.4506 2.2152
S -1.2134 0.8473 2.3293
S -0.5648 4.1061 4.2610
Cl 1.5304 0.9261 5.0986
Cl -3.2779 4.0392 1.4613
```

Summary:
- Maximum piezoelectric response: 0.55 C/m2

---

6.
Li20Si3P3S23Cl | PBE-GGA | optimized geometry

extended XYZ file:
```
50
Lattice="8.7720 0.0000 0.0000 0.0000 8.8982 0.0000 0.0000 0.0350 12.7926" Properties=species:S:1:pos:R:3 pbc="T T T"
Li 2.0851 6.7457 3.9612
Li 6.8565 1.4112 3.3379
Li 7.1872 6.9103 9.8053
Li 1.9430 2.3382 9.8798
Li 6.6869 6.7457 3.9612
Li 1.9155 1.4112 3.3379
Li 1.5848 6.9103 9.8053
Li 6.8290 2.3382 9.8798
Li 4.3860 8.9182 11.9857
Li 4.3860 8.9107 5.6458
Li 0.0000 4.5436 7.4271
Li 0.0000 4.3444 0.7195
Li 6.4926 6.5730 0.0969
Li 2.3038 2.3281 0.1386
Li 2.1028 6.7030 6.8412
Li 6.6365 2.2581 6.5440
Li 6.6692 6.7030 6.8412
Li 2.1355 2.2581 6.5440
Li 2.2794 6.5730 0.0969
Li 6.4682 2.3281 0.1386
Si 0.0000 4.5289 10.4527
Si 0.0000 4.3644 4.2849
Si 0.0000 0.0630 6.5641
P 4.3860 0.0622 8.7979
P 4.3860 8.8799 2.3536
P 4.3860 4.4923 0.0602
S 7.0156 8.8324 5.3322
S 1.7564 8.8324 5.3322
S 4.3860 6.2087 11.6754
S 4.3860 2.8294 11.6634
S 2.7053 4.4493 1.2514
S 6.0667 4.4493 1.2514
S 0.0000 7.2647 7.8565
S 0.0000 1.8670 7.6647
S 6.1274 0.0110 1.2035
S 2.6446 0.0110 1.2035
S 4.3860 7.2347 7.6761
S 4.3860 1.7659 7.6259
S 1.7870 4.6130 5.3654
S 6.9850 4.6130 5.3654
S 0.0000 6.3132 11.7285
S 0.0000 2.7006 11.6389
S 2.7403 0.0882 10.0362
S 6.0317 0.0882 10.0362
S 4.3860 1.6556 3.5113
S 4.3860 7.1489 3.4354
S 7.0152 4.5962 9.2675
S 1.7568 4.5962 9.2675
S 0.0000 2.8124 2.8751
Cl 0.0000 6.1881 2.9052
```

Summary:
- E above lowest polymorph: 0.0 kJ/mol of atoms

---

7.
Li20Si3P3S23Cl | PBE-GGA | optimized geometry

extended XYZ file:
```
50
Lattice="-3.2603 -2.2856 7.8287 -7.2914 -2.9456 -3.8965 5.2328 -11.5666 -1.1977" Properties=species:S:1:pos:R:3 pbc="T T T"
Li -4.7820 -6.2720 -1.5002
Li -2.6302 -5.7948 4.8030
Li -3.6343 -12.8703 1.8963
Li 1.2930 -10.5264 0.1320
Li -6.5055 -7.4802 2.6383
Li -0.8678 -4.5593 0.5711
Li -2.1517 -11.8310 -1.6636
Li -0.2026 -11.5749 3.7234
Li 3.2386 -11.9330 2.7918
Li 0.7310 -6.3765 3.3697
Li -0.7604 -7.9458 -2.6364
Li -3.3823 -1.9005 -1.9634
Li -7.8311 -4.0235 2.9089
Li -2.5548 -1.5522 0.9291
Li -3.3029 -8.9896 -1.5482
Li -1.6088 -8.7885 4.1566
Li -4.9408 -10.1378 2.3846
Li 0.0227 -7.6447 0.2390
Li -6.2310 -2.9018 -0.9332
Li -4.1964 -2.7030 4.8709
Si 0.5724 -10.7859 -2.9106
Si -1.8817 -5.1087 -2.2751
Si 1.9858 -9.1585 3.0801
P -7.9334 -6.2437 -0.1998
P -4.6748 -8.7229 -4.4935
P -5.2573 -2.6948 1.9507
S -7.7634 -9.5002 1.9296
S -5.7720 -8.1041 -2.8523
S -1.9229 -13.7223 0.1198
S 0.9208 -12.6383 1.6206
S -4.1608 -3.3029 0.3345
S -5.4151 -4.1821 3.3461
S -2.8020 -9.2674 -3.8725
S 1.6968 -7.3903 -1.4510
S -9.0373 -5.6550 1.4527
S -7.7532 -4.7548 -1.6306
S -4.3175 -10.4110 0.0894
S 0.0084 -8.6212 2.4134
S -2.2343 -6.6204 -0.8509
S -4.1629 -7.9724 3.7802
S -0.3619 -12.5165 -3.8049
S 2.5571 -11.3115 -2.2375
S 3.1371 -9.8227 1.4166
S 1.8473 -10.7269 4.5135
S -1.5804 -4.9007 2.8380
S -6.0506 -6.7429 0.4385
S -2.5730 -11.4633 3.4956
S -0.5964 -10.0776 -1.2506
S -1.1864 -3.3137 -1.4615
Cl -3.9637 -4.5733 -2.9859
```

Summary:
- E above lowest polymorph: 0.5 kJ/mol of atoms

---

8.
Li20Si3P3S23Cl | PBE-GGA | optimized geometry

extended XYZ file:
```
50
Lattice="-2.5956 -5.9262 -6.0400 8.2539 -0.6717 -2.8880 2.1710 -9.4377 8.3269" Properties=species:S:1:pos:R:3 pbc="T T T"
Li 6.4093 -4.7004 -1.2336
Li 0.4726 -7.3910 -2.8836
Li 5.8303 -12.3093 0.0809
Li 3.2875 -9.2840 4.2172
Li 5.0509 -7.8018 -4.3946
Li 1.8523 -4.2408 0.3271
Li 7.0334 -9.5624 2.8806
Li 2.0844 -12.0309 1.4176
Li 0.7750 -11.9236 4.8809
Li -0.3577 -7.0373 0.5734
Li 5.3612 -5.5698 3.1610
Li 4.1400 -0.6838 -1.1081
Li 4.2916 -5.1528 -6.5388
Li 1.5180 -1.8641 -1.8761
Li 6.5917 -7.0029 0.8676
Li 1.4140 -9.6999 -0.8739
Li 5.2652 -10.0317 -2.2194
Li 2.7342 -6.6857 2.1982
Li 5.5985 -2.1689 -3.4976
Li 0.1442 -5.0007 -5.0729
Si 5.8635 -7.9012 5.2325
Si 4.6962 -3.3156 1.2350
Si 7.3607 -5.4278 -4.3227
P 0.1967 -9.4456 2.6980
P 1.0942 -4.7455 4.1858
P 2.8463 -3.3416 -4.4296
S 7.0457 -9.3393 -4.3304
S 8.6390 -5.7014 -0.6227
S 6.4236 -12.0352 2.5630
S 3.2174 -11.7866 3.6968
S 3.5446 -3.0594 -2.5225
S 2.5504 -5.3294 -4.8360
S 7.9947 -6.1830 2.6309
S 2.8676 -5.7398 4.3994
S 6.6193 -5.7413 -6.3284
S 7.6727 -3.3361 -3.8771
S 6.6367 -9.1360 -0.3732
S 1.6118 -8.7191 1.3771
S 4.5114 -5.3367 0.6795
S 2.9636 -8.8706 -2.9223
S 7.7303 -8.9757 5.4846
S 4.3945 -8.6747 6.6228
S 0.8918 -9.1695 4.6073
S -0.1003 -11.4347 2.2985
S 0.9559 -5.7853 -1.2195
S 5.9336 -6.2040 -2.9478
S 3.5735 -11.7362 -0.4352
S 5.1463 -8.1452 3.2247
S 3.0038 -2.1508 0.8194
Cl 6.2307 -2.5002 -0.2244
```

Summary:
- E above lowest polymorph: 0.5 kJ/mol of atoms

---

9.
RbLiCl2 | PBE-GGA | optimized geometry

extended XYZ file:
```
8
Lattice="-3.6861 6.1146 -2.5740 0.0538 -7.5161 1.0514 -3.0996 0.8967 6.5688" Properties=species:S:1:pos:R:3 pbc="T T T"
Rb -2.1074 -2.2392 1.3497
Rb -4.6245 1.7343 3.6965
Li -1.1097 -5.8757 2.3169
Li -5.6222 5.3708 2.7293
Cl -3.3016 2.1132 0.1921
Cl -3.4303 -2.6181 4.8541
Cl 0.0000 0.0000 0.0000
Cl -1.5498 0.4483 3.2844
```

---

10.
Rb2LiRhCl6 | PBE-GGA | optimized geometry

extended XYZ file:
```
10
Lattice="-1.7184 2.5706 6.4192 -4.8374 -0.0454 -5.2311 -1.8178 -5.5329 1.7291" Properties=species:S:1:pos:R:3 pbc="T T T"
Rb -4.2611 -0.5837 -0.9069
Rb -4.1125 -2.4239 3.8241
Li 0.0000 0.0000 0.0000
Rh -0.9089 -2.7664 0.8645
Cl -2.7015 0.6517 5.0730
Cl -5.6721 -3.6594 -2.1559
Cl -5.2740 0.6276 2.2912
Cl -3.0996 -3.6352 0.6260
Cl -1.7877 -0.7153 1.6593
Cl -6.5860 -2.2924 1.2578
```

---

11.
Rb2LiRuCl6 | PBE-GGA | optimized geometry

extended XYZ file:
```
10
Lattice="3.5273 6.1566 -0.5027 -4.0372 -2.2382 -5.4120 -4.7583 2.9174 2.3430" Properties=species:S:1:pos:R:3 pbc="T T T"
Rb -2.6898 1.2800 -3.1975
Rb -2.5783 5.5559 -0.3743
Li 0.0000 0.0000 0.0000
Ru -2.3791 1.4587 1.1715
Cl 1.0560 5.6194 -0.6455
Cl -6.3242 1.2164 -2.9262
Cl -1.0738 4.4387 -3.5007
Cl -4.1943 2.3972 -0.0710
Cl -0.8048 2.3714 -0.3803
Cl -4.4633 4.4645 -3.1914
```

---

12.
Rb2LiSbCl6 | PBE-GGA | optimized geometry

extended XYZ file:
```
10
Lattice="5.7054 -4.3233 -2.0384 -1.0856 -7.2601 -1.2290 0.3383 -2.6927 -6.9306" Properties=species:S:1:pos:R:3 pbc="T T T"
Rb 3.7186 -10.7071 -7.6485
Rb 1.2395 -3.5690 -2.5495
Li 2.4791 -7.1381 -5.0990
Sb 0.0000 0.0000 0.0000
Cl 4.0742 -5.7464 -3.5858
Cl 1.4207 -4.9402 -6.0046
Cl 0.8839 -8.5297 -6.6122
Cl 0.7166 -7.1984 -3.1856
Cl 4.2415 -7.0777 -7.0124
Cl 3.5375 -9.3359 -4.1934
```

---

13.
Rb2LiScCl6 | PBE-GGA | optimized geometry

extended XYZ file:
```
10
Lattice="0.0000 5.1162 5.1162 5.1162 0.0000 5.1162 5.1162 5.1162 0.0000" Properties=species:S:1:pos:R:3 pbc="T T T"
Rb 7.6743 7.6743 7.6743
Rb 2.5581 2.5581 2.5581
Li 5.1162 5.1162 5.1162
Sc 0.0000 0.0000 0.0000
Cl 2.5032 5.1162 5.1162
Cl 5.1162 5.1162 2.5032
Cl 7.7292 5.1162 5.1162
Cl 5.1162 2.5032 5.1162
Cl 5.1162 7.7292 5.1162
Cl 5.1162 5.1162 7.7292
```

---

14.
Rb2LiTaCl6 | PBE-GGA | optimized geometry

extended XYZ file:
```
10
Lattice="0.0000 5.0924 5.0924 5.0924 0.0000 5.0924 5.0924 5.0924 0.0000" Properties=species:S:1:pos:R:3 pbc="T T T"
Rb 7.6386 7.6386 7.6386
Rb 2.5462 2.5462 2.5462
Li 5.0924 5.0924 5.0924
Ta 0.0000 0.0000 0.0000
Cl 2.4862 5.0924 5.0924
Cl 5.0924 5.0924 2.4862
Cl 7.6987 5.0924 5.0924
Cl 5.0924 2.4862 5.0924
Cl 5.0924 7.6987 5.0924
Cl 5.0924 5.0924 7.6987
```

---

15.
Rb2LiTbCl6 | PBE-GGA | optimized geometry

extended XYZ file:
```
10
Lattice="0.0000 5.2512 5.2512 5.2512 0.0000 5.2512 5.2512 5.2512 0.0000" Properties=species:S:1:pos:R:3 pbc="T T T"
Rb 7.8768 7.8768 7.8768
Rb 2.6256 2.6256 2.6256
Li 5.2512 5.2512 5.2512
Tb 0.0000 0.0000 0.0000
Cl 2.6474 5.2512 5.2512
Cl 5.2512 5.2512 2.6474
Cl 7.8551 5.2512 5.2512
Cl 5.2512 2.6474 5.2512
Cl 5.2512 7.8551 5.2512
Cl 5.2512 5.2512 7.8551
```

---

Looking at ΔE_f for the records above, in order, we have -1374; -1384; -1709; -1321; -1486; -1274; -1269; -1269; -2188; -1801; -1747; -1878; -2401; -1918; -2462 meV/atom.